No. 1
# Os5C16O16 (PBE-GGA, relaxed)
# * total energy: -0.6055 Ry per atom
# * V: 17.93 Å³/atom
# * formation energy: -0.8878 eV per atom
data_Os5C16O16
_chemical_formula_sum 'Os10 C32 O32'
_space_group_name_H-M_alt 'P -1'
_space_group_IT_number 2
_space_group_name_Hall '-P 1'
_cell_length_a 9.449
_cell_length_b 11.012
_cell_length_c 13.750
_cell_angle_alpha 101.00
_cell_angle_beta 93.72
_cell_angle_gamma 107.61
loop_
_atom_site_label
_atom_site_type_symbol
_atom_site_fract_x
_atom_site_fract_y
_atom_site_fract_z
Os1 Os 0.094 0.268 0.202
Os2 Os 0.154 0.248 0.398
Os3 Os 0.235 0.078 0.258
Os4 Os 0.268 0.527 0.177
Os5 Os 0.391 0.331 0.233
C1 C 0.003 0.847 0.543
C2 C 0.050 0.645 0.818
C3 C 0.065 0.944 0.277
C4 C 0.073 0.869 0.775
C5 C 0.091 0.190 0.066
C6 C 0.127 0.600 0.128
C7 C 0.143 0.405 0.480
C8 C 0.234 0.589 0.315
C9 C 0.260 0.989 0.129
C10 C 0.294 0.218 0.488
C11 C 0.300 0.448 0.044
C12 C 0.347 0.000 0.330
C13 C 0.432 0.683 0.185
C14 C 0.450 0.505 0.732
C15 C 0.471 0.281 0.116
C16 C 0.493 0.747 0.694
O1 O 0.036 0.140 0.711
O2 O 0.041 0.645 0.098
O3 O 0.091 0.136 0.984
O4 O 0.107 0.910 0.513
O5 O 0.150 0.494 0.544
O6 O 0.151 0.609 0.837
O7 O 0.186 0.949 0.772
O8 O 0.210 0.638 0.392
O9 O 0.272 0.926 0.054
O10 O 0.323 0.409 0.964
O11 O 0.342 0.414 0.710
O12 O 0.384 0.207 0.544
O13 O 0.395 0.768 0.651
O14 O 0.415 0.952 0.374
O15 O 0.470 0.221 0.808
O16 O 0.485 0.757 0.956

***

No. 2
# Er2PbSe4 (PBE-GGA, relaxed)
# * total energy: -0.3901 Ry per atom
# * V: 27.58 Å³/atom
# * formation energy: -1.7436 eV per atom
data_Er2PbSe4
_chemical_formula_sum 'Er8 Pb4 Se16'
_space_group_name_H-M_alt 'P n m a'
_space_group_IT_number 62
_space_group_name_Hall '-P 2ac 2n'
_cell_length_a 12.567
_cell_length_b 4.112
_cell_length_c 14.943
_cell_angle_alpha 90.00
_cell_angle_beta 90.00
_cell_angle_gamma 90.00
loop_
_atom_site_label
_atom_site_type_symbol
_atom_site_fract_x
_atom_site_fract_y
_atom_site_fract_z
Er1 Er 0.061 0.250 0.110
Er2 Er 0.082 0.250 0.597
Pb1 Pb 0.236 0.250 0.330
Se1 Se 0.024 0.750 0.714
Se2 Se 0.090 0.250 0.923
Se3 Se 0.130 0.750 0.470
Se4 Se 0.207 0.750 0.170

***

No. 3
# Tc (PBE-GGA, relaxed)
# * total energy: -0.7613 Ry per atom
# * V: 14.61 Å³/atom
# * formation energy: 0.0033 eV per atom
data_Tc
_chemical_formula_sum 'Tc4'
_space_group_name_H-M_alt 'P 63/m m c'
_space_group_IT_number 194
_space_group_name_Hall '-P 6c 2c'
_cell_length_a 2.7645
_cell_length_b 2.7645
_cell_length_c 8.8281
_cell_angle_alpha 90.00
_cell_angle_beta 90.00
_cell_angle_gamma 120.00
loop_
_atom_site_label
_atom_site_type_symbol
_atom_site_fract_x
_atom_site_fract_y
_atom_site_fract_z
Tc1 Tc 0.0000 0.0000 0.0000
Tc2 Tc 0.3333 0.6667 0.2500

***

total energy of number 2 (Er2PbSe4)?
-0.3901 Ry per atom

***

total energy of number 3 (Tc)?
-0.7613 Ry per atom